[1]
{"formula": "Mg14CoNiO16", "functional": "GGA+U", "state": "relaxed", "lattice": [[4.236, 0.000, 0.000], [0.000, 8.517, 0.000], [0.000, 0.000, 8.522]], "species": ["Mg", "Mg", "Mg", "Mg", "Mg", "Mg", "Mg", "Mg", "Mg", "Mg", "Mg", "Mg", "Mg", "Mg", "Co", "Ni", "O", "O", "O", "O", "O", "O", "O", "O", "O", "O", "O", "O", "O", "O", "O", "O"], "frac_coords": [[0.000, 0.000, 0.000], [0.000, 0.250, 0.251], [0.000, 0.250, 0.749], [0.000, 0.500, 0.000], [0.000, 0.750, 0.251], [0.000, 0.750, 0.749], [0.500, 0.000, 0.250], [0.500, 0.000, 0.750], [0.500, 0.250, 0.000], [0.500, 0.251, 0.500], [0.500, 0.500, 0.251], [0.500, 0.500, 0.749], [0.500, 0.749, 0.500], [0.500, 0.750, 0.000], [0.000, 0.000, 0.500], [0.000, 0.500, 0.500], [0.000, 0.000, 0.247], [0.000, 0.000, 0.753], [0.000, 0.250, 0.000], [0.000, 0.253, 0.500], [0.000, 0.500, 0.249], [0.000, 0.500, 0.751], [0.000, 0.747, 0.500], [0.000, 0.750, 0.000], [0.500, 0.000, 0.000], [0.500, 0.000, 0.500], [0.500, 0.250, 0.251], [0.500, 0.250, 0.749], [0.500, 0.500, 0.000], [0.500, 0.500, 0.500], [0.500, 0.750, 0.251], [0.500, 0.750, 0.749]], "relative_energy_mev_per_atom": 0, "magmom_total_mub_per_atom": 0.156, "space_group": "Pmmm"}

[2]
{"formula": "KVPO5", "functional": "GGA+U", "state": "relaxed", "lattice": [[7.472, 0.000, 0.000], [0.000, 7.754, 0.000], [0.000, 0.000, 8.543]], "species": ["K", "K", "K", "K", "V", "V", "V", "V", "P", "P", "P", "P", "O", "O", "O", "O", "O", "O", "O", "O", "O", "O", "O", "O", "O", "O", "O", "O", "O", "O", "O", "O"], "frac_coords": [[0.117, 0.039, 0.241], [0.383, 0.961, 0.741], [0.617, 0.461, 0.759], [0.883, 0.539, 0.259], [0.117, 0.448, 0.882], [0.383, 0.552, 0.382], [0.617, 0.052, 0.118], [0.883, 0.948, 0.618], [0.123, 0.313, 0.596], [0.377, 0.687, 0.096], [0.623, 0.187, 0.404], [0.877, 0.813, 0.904], [0.028, 0.913, 0.815], [0.068, 0.127, 0.559], [0.084, 0.307, 0.021], [0.178, 0.401, 0.440], [0.224, 0.675, 0.222], [0.276, 0.325, 0.722], [0.322, 0.599, 0.940], [0.416, 0.693, 0.521], [0.432, 0.873, 0.059], [0.472, 0.087, 0.315], [0.528, 0.587, 0.185], [0.568, 0.373, 0.441], [0.584, 0.193, 0.979], [0.678, 0.099, 0.560], [0.724, 0.825, 0.778], [0.776, 0.175, 0.278], [0.822, 0.901, 0.060], [0.916, 0.807, 0.479], [0.932, 0.627, 0.941], [0.972, 0.413, 0.685]], "relative_energy_mev_per_atom": 0, "magmom_total_mub_per_atom": 0.125, "space_group": "P2_12_12_1"}

[3]
{"formula": "Mn3As4O16", "functional": "GGA+U", "state": "relaxed", "lattice": [[8.506, 0.000, 0.000], [0.000, 5.108, 0.000], [-6.014, 0.000, 14.638]], "species": ["Mn", "Mn", "Mn", "Mn", "Mn", "Mn", "As", "As", "As", "As", "As", "As", "As", "As", "O", "O", "O", "O", "O", "O", "O", "O", "O", "O", "O", "O", "O", "O", "O", "O", "O", "O", "O", "O", "O", "O", "O", "O", "O", "O", "O", "O", "O", "O", "O", "O"], "frac_coords": [[0.000, 0.000, 0.000], [0.000, 0.500, 0.500], [0.273, 0.052, 0.627], [0.273, 0.448, 0.127], [0.727, 0.552, 0.873], [0.727, 0.948, 0.373], [0.080, 0.043, 0.397], [0.080, 0.457, 0.897], [0.458, 0.048, 0.851], [0.458, 0.452, 0.351], [0.542, 0.548, 0.649], [0.542, 0.952, 0.149], [0.920, 0.543, 0.103], [0.920, 0.957, 0.603], [0.033, 0.250, 0.099], [0.033, 0.250, 0.599], [0.098, 0.734, 0.096], [0.098, 0.766, 0.596], [0.134, 0.079, 0.309], [0.134, 0.421, 0.809], [0.229, 0.145, 0.501], [0.229, 0.355, 0.001], [0.292, 0.511, 0.248], [0.292, 0.989, 0.748], [0.368, 0.115, 0.156], [0.368, 0.385, 0.656], [0.390, 0.555, 0.434], [0.390, 0.945, 0.934], [0.471, 0.629, 0.132], [0.471, 0.871, 0.632], [0.529, 0.129, 0.368], [0.529, 0.371, 0.868], [0.610, 0.055, 0.066], [0.610, 0.445, 0.566], [0.632, 0.615, 0.344], [0.632, 0.885, 0.844], [0.708, 0.011, 0.252], [0.708, 0.489, 0.752], [0.771, 0.645, 0.999], [0.771, 0.855, 0.499], [0.866, 0.579, 0.191], [0.866, 0.921, 0.691], [0.902, 0.234, 0.404], [0.902, 0.266, 0.904], [0.967, 0.750, 0.401], [0.967, 0.750, 0.901]], "space_group": "P2_1/c"}

[4]
{"formula": "La2FeSe2O2", "functional": "GGA+U", "state": "relaxed", "lattice": [[0.000, -3.996, 0.000], [4.955, 1.998, -3.005], [4.920, -1.998, 11.438]], "species": ["La", "La", "La", "La", "Fe", "Fe", "Se", "Se", "Se", "Se", "O", "O", "O", "O"], "frac_coords": [[0.821, 0.014, 0.372], [0.321, 0.514, 0.872], [0.679, 0.486, 0.128], [0.179, 0.986, 0.628], [0.500, 0.500, 0.500], [0.000, 0.000, 0.000], [0.101, 0.543, 0.342], [0.601, 0.043, 0.842], [0.399, 0.957, 0.158], [0.899, 0.457, 0.658], [0.345, 0.149, 0.459], [0.845, 0.649, 0.959], [0.155, 0.351, 0.041], [0.655, 0.851, 0.541]], "relative_energy_mev_per_atom": 0, "magmom_total_mub_per_atom": 0.571}

[5]
{"formula": "P2W9O31", "functional": "GGA+U", "state": "relaxed", "lattice": [[5.397, 0.000, 0.000], [0.010, 6.677, 0.000], [0.096, 0.003, 33.481]], "species": ["P", "P", "P", "P", "W", "W", "W", "W", "W", "W", "W", "W", "W", "W", "W", "W", "W", "W", "W", "W", "W", "W", "O", "O", "O", "O", "O", "O", "O", "O", "O", "O", "O", "O", "O", "O", "O", "O", "O", "O", "O", "O", "O", "O", "O", "O", "O", "O", "O", "O", "O", "O", "O", "O", "O", "O", "O", "O", "O", "O", "O", "O", "O", "O", "O", "O", "O", "O", "O", "O", "O", "O", "O", "O", "O", "O", "O", "O", "O", "O", "O", "O", "O", "O"], "frac_coords": [[0.004, 0.137, 0.283], [0.483, 0.632, 0.217], [0.517, 0.368, 0.783], [0.996, 0.863, 0.717], [0.000, 0.000, 0.000], [0.000, 0.171, 0.546], [0.000, 0.829, 0.454], [0.001, 0.491, 0.361], [0.002, 0.340, 0.908], [0.007, 0.673, 0.814], [0.492, 0.989, 0.139], [0.497, 0.159, 0.408], [0.497, 0.829, 0.314], [0.498, 0.329, 0.046], [0.500, 0.500, 0.500], [0.502, 0.671, 0.954], [0.503, 0.171, 0.686], [0.503, 0.841, 0.592], [0.508, 0.011, 0.861], [0.993, 0.327, 0.186], [0.998, 0.660, 0.092], [0.999, 0.509, 0.639], [0.000, 0.000, 0.500], [0.001, 0.171, 0.953], [0.002, 0.337, 0.595], [0.003, 0.671, 0.691], [0.009, 0.509, 0.859], [0.012, 0.805, 0.761], [0.209, 0.849, 0.122], [0.212, 0.021, 0.426], [0.214, 0.187, 0.027], [0.214, 0.358, 0.520], [0.218, 0.999, 0.707], [0.219, 0.526, 0.932], [0.221, 0.691, 0.616], [0.225, 0.679, 0.331], [0.227, 0.532, 0.212], [0.229, 0.859, 0.835], [0.253, 0.027, 0.289], [0.268, 0.179, 0.170], [0.276, 0.352, 0.664], [0.281, 0.350, 0.379], [0.283, 0.520, 0.074], [0.285, 0.858, 0.979], [0.286, 0.026, 0.567], [0.286, 0.689, 0.473], [0.287, 0.192, 0.885], [0.304, 0.513, 0.793], [0.491, 0.302, 0.739], [0.494, 0.163, 0.096], [0.497, 0.993, 0.359], [0.500, 0.180, 0.810], [0.500, 0.332, 0.453], [0.500, 0.500, 0.000], [0.500, 0.668, 0.547], [0.500, 0.820, 0.190], [0.503, 0.007, 0.641], [0.506, 0.837, 0.904], [0.509, 0.698, 0.261], [0.696, 0.487, 0.207], [0.713, 0.808, 0.115], [0.714, 0.311, 0.527], [0.714, 0.974, 0.433], [0.715, 0.142, 0.021], [0.717, 0.480, 0.926], [0.719, 0.650, 0.621], [0.724, 0.648, 0.336], [0.732, 0.821, 0.830], [0.747, 0.973, 0.711], [0.771, 0.141, 0.165], [0.773, 0.468, 0.788], [0.775, 0.321, 0.669], [0.779, 0.309, 0.384], [0.781, 0.474, 0.068], [0.782, 0.001, 0.293], [0.786, 0.642, 0.480], [0.786, 0.813, 0.973], [0.788, 0.979, 0.574], [0.791, 0.151, 0.878], [0.988, 0.195, 0.239], [0.991, 0.491, 0.141], [0.997, 0.329, 0.309], [0.998, 0.663, 0.405], [0.999, 0.829, 0.047]], "relative_energy_mev_per_atom": 0, "magmom_total_mub_per_atom": 0.001, "space_group": "P-1"}

[6]
{"formula": "Mo3Br6O", "functional": "GGA+U", "state": "relaxed", "lattice": [[-5.403, 5.403, 6.145], [5.403, -5.403, 6.145], [5.403, 5.403, -6.145]], "species": ["Mo", "Mo", "Mo", "Mo", "Mo", "Mo", "Br", "Br", "Br", "Br", "Br", "Br", "Br", "Br", "Br", "Br", "Br", "Br", "O", "O"], "frac_coords": [[0.104, 0.201, 0.304], [0.189, 0.189, 0.000], [0.201, 0.896, 0.097], [0.799, 0.104, 0.903], [0.811, 0.811, 0.000], [0.896, 0.799, 0.696], [0.066, 0.393, 0.170], [0.104, 0.934, 0.328], [0.212, 0.410, 0.622], [0.223, 0.896, 0.830], [0.393, 0.223, 0.328], [0.410, 0.788, 0.197], [0.590, 0.212, 0.803], [0.607, 0.777, 0.672], [0.777, 0.104, 0.170], [0.788, 0.590, 0.378], [0.896, 0.066, 0.672], [0.934, 0.607, 0.830], [0.329, 0.329, 0.000], [0.671, 0.671, 0.000]], "magmom_total_mub_per_atom": 0.900, "space_group": "I4/m"}

Number 1: total energy after the MP2020 corrections -204.76 eV for the cell shown. Number 2: total energy after the MP2020 corrections -246.33 eV for the cell shown. Number 3: total energy after the MP2020 corrections -319.50 eV for the cell shown. Number 4: total energy after the MP2020 corrections -104.99 eV for the cell shown. Number 5: total energy after the MP2020 corrections -752.67 eV for the cell shown. Number 6: total energy after the MP2020 corrections -99.87 eV for the cell shown.